Entry 1:
A relaxed structure of Li3Mn2C4O12, computed with PBE with a Hubbard U.

Space-group type: P2_1
Energy with MP2020 corrections (eV/atom): -7.711
Calculated formation energy (eV per atom): -1.981
Energy (eV per atom): -7.160
Relative energy among the computed polymorphs (kcal/mol of atoms): 0.689
Calculated density (Mg/m³): 2.1
Crystal system: monoclinic

abc: 9.9781 7.1683 8.6369
angles: 68.65 90.00 90.00
Atoms (fractional coordinates):
Li 0.1822 0.3208 0.8136
Li 0.0819 0.2658 0.4030
Li 0.4141 0.7614 0.9040
Li 0.6822 0.6792 0.1864
Li 0.5819 0.7342 0.5970
Li 0.9141 0.2386 0.0960
Mn 0.3662 0.2874 0.1916
Mn 0.8662 0.7126 0.8084
Mn 0.1489 0.7953 0.6719
Mn 0.6489 0.2047 0.3281
C 0.1103 0.4858 0.0313
C 0.6103 0.5142 0.9687
C 0.4764 0.5233 0.3900
C 0.9764 0.4767 0.6100
C 0.0177 0.0225 0.8840
C 0.5177 0.9775 0.1160
C 0.3928 0.9914 0.5328
C 0.8928 0.0086 0.4672
O 0.1495 0.3581 0.1726
O 0.4826 0.4732 0.9900
O 0.6975 0.4406 0.0861
O 0.1975 0.5594 0.9139
O 0.9826 0.5268 0.0100
O 0.6495 0.6419 0.8274
O 0.9552 0.3689 0.5265
O 0.3766 0.4763 0.3120
O 0.5990 0.4615 0.3768
O 0.0990 0.5385 0.6232
O 0.8766 0.5237 0.6880
O 0.5316 0.8474 0.0469
O 0.4552 0.6311 0.4735
O 0.1163 0.9959 0.7969
O 0.9042 0.9245 0.9025
O 0.4042 0.0755 0.0975
O 0.6163 0.0041 0.2031
O 0.0316 0.1526 0.9531
O 0.3509 0.8600 0.6713
O 0.0191 0.9745 0.4850
O 0.8052 0.9200 0.5821
O 0.3052 0.0800 0.4179
O 0.5191 0.0255 0.5150
O 0.8509 0.1400 0.3287

Entry 2:
A relaxed structure of LiMnC2O6, computed with PBE with a Hubbard U.

Space-group type: R-3
Energy with MP2020 corrections (eV/atom): -7.885
Calculated formation energy (eV per atom): -1.963
Energy (eV per atom): -7.306
Relative energy among the computed polymorphs (kcal/mol of atoms): 0.501
Calculated density (Mg/m³): 3.0
Crystal system: trigonal

abc: 5.8225 5.8225 5.8225
angles: 47.87 47.87 47.87
Atoms (fractional coordinates):
Li 0.0000 0.0000 0.0000
Mn 0.5000 0.5000 0.5000
C 0.7546 0.7546 0.7546
C 0.2454 0.2454 0.2454
O 0.9683 0.2540 0.5156
O 0.4844 0.0317 0.7460
O 0.7460 0.4844 0.0317
O 0.2540 0.5156 0.9683
O 0.5156 0.9683 0.2540
O 0.0317 0.7460 0.4844

Entry 3:
A relaxed structure of LiMnC2O6, computed with PBE with a Hubbard U.

Space-group type: P2_1/c
Energy with MP2020 corrections (eV/atom): -7.846
Calculated formation energy (eV per atom): -1.924
Energy (eV per atom): -7.267
Relative energy among the computed polymorphs (kcal/mol of atoms): 1.401
Calculated density (Mg/m³): 2.2
Crystal system: monoclinic

abc: 9.7931 7.3203 9.0013
angles: 60.01 90.00 90.00
Atoms (fractional coordinates):
Li 0.4023 0.3334 0.1578
Li 0.0977 0.3334 0.6578
Li 0.9023 0.6666 0.3422
Li 0.5977 0.6666 0.8422
Mn 0.1362 0.5219 0.9326
Mn 0.6362 0.4781 0.5674
Mn 0.3638 0.5219 0.4326
Mn 0.8638 0.4781 0.0674
C 0.3919 0.4775 0.7721
C 0.8919 0.5225 0.7279
C 0.0137 0.0982 0.1410
C 0.5137 0.9018 0.3590
C 0.4863 0.0982 0.6410
C 0.9863 0.9018 0.8590
C 0.1081 0.4775 0.2721
C 0.6081 0.5225 0.2279
O 0.3473 0.4758 0.9068
O 0.0236 0.5304 0.7439
O 0.8061 0.5112 0.8417
O 0.3061 0.4888 0.6583
O 0.5236 0.4696 0.7561
O 0.8473 0.5242 0.5932
O 0.5232 0.0981 0.2861
O 0.1179 0.2163 0.0535
O 0.8984 0.1832 0.1538
O 0.3984 0.8168 0.3462
O 0.6179 0.7837 0.4465
O 0.9768 0.0981 0.7861
O 0.0232 0.9019 0.2139
O 0.3821 0.2163 0.5535
O 0.6016 0.1832 0.6538
O 0.1016 0.8168 0.8462
O 0.8821 0.7837 0.9465
O 0.4768 0.9019 0.7139
O 0.1527 0.4758 0.4068
O 0.4764 0.5304 0.2439
O 0.6939 0.5112 0.3417
O 0.1939 0.4888 0.1583
O 0.9764 0.4696 0.2561
O 0.6527 0.5242 0.0932

Entry 4:
A relaxed structure of LiMnC2O6, computed with PBE with a Hubbard U.

Space-group type: P-1
Energy with MP2020 corrections (eV/atom): -7.906
Calculated formation energy (eV per atom): -1.985
Energy (eV per atom): -7.327
Relative energy among the computed polymorphs (kcal/mol of atoms): 0.000
Calculated density (Mg/m³): 3.1
Crystal system: triclinic

abc: 4.7273 20.6388 4.5988
angles: 83.65 118.10 94.33
Atoms (fractional coordinates):
Li 0.0004 0.9999 0.0003
Li 0.7502 0.2500 0.2502
Li 0.4998 0.5000 0.4999
Li 0.2501 0.7500 0.7501
Mn 0.8751 0.6251 0.1249
Mn 0.6245 0.8750 0.3745
Mn 0.3749 0.1249 0.6252
Mn 0.1253 0.3751 0.8756
C 0.0683 0.1834 0.9510
C 0.8183 0.4336 0.2010
C 0.5682 0.6835 0.4508
C 0.3182 0.9335 0.7010
C 0.6816 0.0664 0.2989
C 0.4318 0.3165 0.5492
C 0.1819 0.5665 0.7991
C 0.9317 0.8166 0.0490
O 0.9532 0.0627 0.3081
O 0.7032 0.3127 0.5581
O 0.4531 0.5627 0.8081
O 0.2031 0.8127 0.0581
O 0.3362 0.1818 0.2288
O 0.0860 0.4322 0.4790
O 0.8362 0.6820 0.7287
O 0.5860 0.9321 0.9788
O 0.0859 0.1828 0.6753
O 0.8357 0.4329 0.9252
O 0.5857 0.6829 0.1750
O 0.3357 0.9329 0.4251
O 0.6643 0.0671 0.5747
O 0.4143 0.3171 0.8249
O 0.1644 0.5671 0.0749
O 0.9142 0.8172 0.3247
O 0.4138 0.0676 0.0208
O 0.1639 0.3181 0.2714
O 0.9138 0.5681 0.5212
O 0.6638 0.8181 0.7712
O 0.7970 0.1873 0.9419
O 0.5468 0.4373 0.1919
O 0.2969 0.6873 0.4419
O 0.0467 0.9373 0.6918

Entry 5:
A relaxed structure of Li3Mn2C2O10, computed with PBE with a Hubbard U.

Space-group type: Pmc2_1
Energy with MP2020 corrections (eV/atom): -7.309
Calculated formation energy (eV per atom): -1.898
Energy (eV per atom): -6.709
Calculated density (Mg/m³): 3.2
Crystal system: orthorhombic

abc: 9.6302 11.7039 5.7937
angles: 90.00 90.00 90.00
Atoms (fractional coordinates):
Li 0.9968 0.0019 0.7500
Li 0.0013 0.4956 0.9977
Li 0.0013 0.4956 0.5023
Li 0.0017 0.2794 0.2500
Li 0.4983 0.7794 0.2500
Li 0.5032 0.5019 0.7500
Li 0.4987 0.9956 0.9977
Li 0.4987 0.9956 0.5023
Li 0.5025 0.2191 0.2500
Li 0.5057 0.2188 0.7500
Li 0.9975 0.7191 0.2500
Li 0.9943 0.7188 0.7500
Mn 0.2446 0.1118 0.9991
Mn 0.2446 0.1118 0.5009
Mn 0.2554 0.6118 0.9991
Mn 0.2554 0.6118 0.5009
Mn 0.7442 0.3883 0.0004
Mn 0.7442 0.3883 0.4996
Mn 0.7558 0.8883 0.0004
Mn 0.7558 0.8883 0.4996
C 0.2391 0.8623 0.4993
C 0.2391 0.8623 0.0007
C 0.2609 0.3623 0.0007
C 0.2609 0.3623 0.4993
C 0.7420 0.6389 0.0000
C 0.7420 0.6389 0.5000
C 0.7580 0.1389 0.0000
C 0.7580 0.1389 0.5000
O 0.1281 0.1488 0.2500
O 0.1250 0.1434 0.7500
O 0.1302 0.5769 0.2500
O 0.1298 0.5777 0.7500
O 0.1307 0.3619 0.0105
O 0.1307 0.3619 0.4895
O 0.1633 0.9552 0.9919
O 0.1633 0.9552 0.5081
O 0.1648 0.7669 0.9990
O 0.1648 0.7669 0.5010
O 0.3352 0.2669 0.9990
O 0.3352 0.2669 0.5010
O 0.3367 0.4552 0.9919
O 0.3367 0.4552 0.5081
O 0.3693 0.8619 0.0105
O 0.3693 0.8619 0.4895
O 0.3698 0.0769 0.2500
O 0.3702 0.0777 0.7500
O 0.3719 0.6488 0.2500
O 0.3750 0.6434 0.7500
O 0.6278 0.3516 0.2500
O 0.6214 0.3559 0.7500
O 0.6296 0.9227 0.2500
O 0.6354 0.9261 0.7500
O 0.6257 0.1377 0.0000
O 0.6257 0.1377 0.5000
O 0.6664 0.5463 0.9955
O 0.6664 0.5463 0.5045
O 0.6702 0.7334 0.0046
O 0.6702 0.7334 0.4954
O 0.8298 0.2334 0.0046
O 0.8298 0.2334 0.4954
O 0.8336 0.0463 0.9955
O 0.8336 0.0463 0.5045
O 0.8743 0.6377 0.0000
O 0.8743 0.6377 0.5000
O 0.8704 0.4227 0.2500
O 0.8646 0.4261 0.7500
O 0.8722 0.8516 0.2500
O 0.8786 0.8559 0.7500

Entry 6:
A relaxed structure of LiMn2C2O8, computed with PBE with a Hubbard U.

Space-group type: P2_1/c
Energy with MP2020 corrections (eV/atom): -7.893
Calculated formation energy (eV per atom): -1.872
Energy (eV per atom): -7.213
Calculated density (Mg/m³): 3.2
Crystal system: monoclinic

abc: 6.4085 9.2486 9.3454
angles: 90.00 88.23 90.00
Atoms (fractional coordinates):
Li 0.1260 0.3176 0.8990
Li 0.3740 0.8176 0.6010
Li 0.6260 0.1824 0.3990
Li 0.8740 0.6824 0.1010
Mn 0.1247 0.9481 0.8773
Mn 0.1276 0.5701 0.3846
Mn 0.3753 0.4481 0.6227
Mn 0.3724 0.0701 0.1154
Mn 0.6276 0.9299 0.8846
Mn 0.6247 0.5519 0.3773
Mn 0.8724 0.4299 0.6154
Mn 0.8753 0.0519 0.1227
C 0.1354 0.6402 0.8395
C 0.1207 0.8663 0.3324
C 0.3646 0.1402 0.6605
C 0.3793 0.3663 0.1676
C 0.6207 0.6337 0.8324
C 0.6354 0.8598 0.3395
C 0.8793 0.1337 0.6676
C 0.8646 0.3598 0.1605
O 0.1505 0.5193 0.7578
O 0.1478 0.7627 0.7685
O 0.1049 0.6282 0.9695
O 0.1042 0.1154 0.9993
O 0.1104 0.9858 0.2495
O 0.0968 0.7424 0.2652
O 0.1552 0.8746 0.4614
O 0.1419 0.4006 0.5056
O 0.3958 0.6154 0.5007
O 0.3951 0.1282 0.5305
O 0.3522 0.2627 0.7315
O 0.3495 0.0193 0.7422
O 0.3581 0.9006 0.9944
O 0.3448 0.3746 0.0386
O 0.4032 0.2424 0.2348
O 0.3896 0.4858 0.2505
O 0.6104 0.5142 0.7495
O 0.5968 0.7576 0.7652
O 0.6552 0.6254 0.9614
O 0.6419 0.0994 0.0056
O 0.6505 0.9807 0.2578
O 0.6478 0.7373 0.2685
O 0.6049 0.8718 0.4695
O 0.6042 0.3846 0.4993
O 0.8581 0.5994 0.4944
O 0.8448 0.1254 0.5386
O 0.9032 0.2576 0.7348
O 0.8896 0.0142 0.7505
O 0.8958 0.8846 0.0007
O 0.8951 0.3718 0.0305
O 0.8522 0.2373 0.2315
O 0.8495 0.4807 0.2422